1.
# Mo2N3 PBE relaxed
data_Mo2N3
_chemical_formula_sum 'Mo8 N12'
_space_group_name_H-M_alt 'P -1'
_space_group_IT_number 2
_space_group_name_Hall '-P 1'
_cell_length_a 5.816
_cell_length_b 6.125
_cell_length_c 10.354
_cell_angle_alpha 77.25
_cell_angle_beta 76.11
_cell_angle_gamma 86.12
loop_
_atom_site_label
_atom_site_type_symbol
_atom_site_fract_x
_atom_site_fract_y
_atom_site_fract_z
Mo1 Mo 0.069 0.466 0.348
Mo2 Mo 0.119 0.099 0.694
Mo3 Mo 0.329 0.155 0.198
Mo4 Mo 0.412 0.285 0.825
N1 N 0.007 0.811 0.697
N2 N 0.095 0.293 0.532
N3 N 0.099 0.348 0.798
N4 N 0.373 0.220 0.012
N5 N 0.387 0.456 0.245
N6 N 0.436 0.027 0.724
# electronic total energy	-47.1	eV per formula unit
# formation energy	-0.290	eV per atom
# crystal system	triclinic
# size of the total moment	0.00	μB/cell

=====

2.
# CeMn2Ge2 PBE relaxed
data_CeMn2Ge2
_chemical_formula_sum 'Ce2 Mn4 Ge4'
_space_group_name_H-M_alt 'I 4/m m m'
_space_group_IT_number 139
_space_group_name_Hall '-I 4 2'
_cell_length_a 3.994
_cell_length_b 3.994
_cell_length_c 10.828
_cell_angle_alpha 90.00
_cell_angle_beta 90.00
_cell_angle_gamma 90.00
loop_
_atom_site_label
_atom_site_type_symbol
_atom_site_fract_x
_atom_site_fract_y
_atom_site_fract_z
Ce1 Ce 0.000 0.000 0.000
Mn1 Mn 0.000 0.500 0.250
Ge1 Ge 0.000 0.000 0.379
# electronic total energy	-35.8	eV per formula unit
# formation energy	-0.452	eV per atom
# crystal system	tetragonal

=====

3.
# GdBiPd PBE relaxed
data_GdBiPd
_chemical_formula_sum 'Gd4 Bi4 Pd4'
_space_group_name_H-M_alt 'F -4 3 m'
_space_group_IT_number 216
_space_group_name_Hall 'F -4 2 3'
_cell_length_a 6.825
_cell_length_b 6.825
_cell_length_c 6.825
_cell_angle_alpha 90.00
_cell_angle_beta 90.00
_cell_angle_gamma 90.00
loop_
_atom_site_label
_atom_site_type_symbol
_atom_site_fract_x
_atom_site_fract_y
_atom_site_fract_z
Gd1 Gd 0.000 0.000 0.000
Bi1 Bi 0.000 0.000 0.500
Pd1 Pd 0.250 0.250 0.250
# electronic total energy	-26.0	eV per formula unit
# formation energy	-0.938	eV per atom
# crystal system	cubic

=====

4.
# Gd2Mn17C3 PBE relaxed
data_Gd2Mn17C3
_chemical_formula_sum 'Gd6 Mn51 C9'
_space_group_name_H-M_alt 'R -3 m'
_space_group_IT_number 166
_space_group_name_Hall '-R 3 2"'
_cell_length_a 8.6030
_cell_length_b 8.6030
_cell_length_c 12.4951
_cell_angle_alpha 90.00
_cell_angle_beta 90.00
_cell_angle_gamma 120.00
loop_
_atom_site_label
_atom_site_type_symbol
_atom_site_fract_x
_atom_site_fract_y
_atom_site_fract_z
Gd1 Gd 0.0000 0.0000 0.1502
Mn1 Mn 0.0000 0.0000 0.4064
Mn2 Mn 0.0000 0.2790 0.5000
Mn3 Mn 0.0000 0.5000 0.0000
Mn4 Mn 0.0192 0.5096 0.3480
C1 C 0.0000 0.5000 0.5000
# electronic total energy	-203.4	eV per formula unit
# formation energy	0.371	eV per atom
# crystal system	trigonal
# size of the total moment	23.06	μB/cell